Record 1
Here is a relaxed structure of NaMn3O6 from the Materials Project. Energies are from PBE+U.

Results
ΔE to the lowest computed polymorph: 0.16 eV/f.u.
E: -544.63 eV per cell

Geometry as CIF:
```
data_NaMn3O6
_chemical_formula_sum 'Na8 Mn24 O48'
_symmetry_space_group_name_H-M 'C 1 2/c 1'
_symmetry_Int_Tables_number 15
_symmetry_space_group_name_Hall '-C 2yc'
_cell_length_a 10.919
_cell_length_b 5.779
_cell_length_c 14.529
_cell_angle_alpha 90.00
_cell_angle_beta 96.49
_cell_angle_gamma 90.00
loop_
_atom_site_label
_atom_site_fract_x
_atom_site_fract_y
_atom_site_fract_z
Na1 0.233 0.031 0.440
Mn1 0.012 0.374 0.592
Mn2 0.021 0.125 0.093
Mn3 0.232 0.374 0.265
O1 0.066 0.120 0.857
O2 0.076 0.372 0.359
O3 0.091 0.375 0.026
O4 0.093 0.127 0.528
O5 0.162 0.375 0.684
O6 0.164 0.133 0.184
```

Record 2
Here is a relaxed structure of Na11Mn13O32 from the Materials Project. Energies are from PBE+U.

Results
ΔE to the lowest computed polymorph: 0.00 eV/f.u.
E: -705.60 eV per cell

Geometry as CIF:
```
data_Na11Mn13O32
_chemical_formula_sum 'Na22 Mn26 O64'
_symmetry_space_group_name_H-M 'C 1 2/m 1'
_symmetry_Int_Tables_number 12
_symmetry_space_group_name_Hall '-C 2y'
_cell_length_a 10.545
_cell_length_b 5.995
_cell_length_c 21.275
_cell_angle_alpha 90.00
_cell_angle_beta 101.42
_cell_angle_gamma 90.00
loop_
_atom_site_label
_atom_site_fract_x
_atom_site_fract_y
_atom_site_fract_z
Na1 0.000 0.000 0.000
Na2 0.024 0.500 0.090
Na3 0.037 0.000 0.596
Na4 0.123 0.500 0.370
Na5 0.209 0.000 0.148
Na6 0.215 0.500 0.659
Mn1 0.000 0.500 0.500
Mn2 0.005 0.253 0.760
Mn3 0.138 0.000 0.880
Mn4 0.243 0.500 0.241
Mn5 0.250 0.250 0.000
Mn6 0.250 0.250 0.500
O1 0.027 0.000 0.184
O2 0.055 0.500 0.714
O3 0.061 0.500 0.194
O4 0.069 0.000 0.711
O5 0.075 0.280 0.453
O6 0.097 0.220 0.934
O7 0.170 0.272 0.286
O8 0.181 0.210 0.813
O9 0.186 0.500 0.550
O10 0.198 0.500 0.053
O11 0.201 0.000 0.045
O12 0.203 0.000 0.547
```

Record 3
Here is a relaxed structure of NaMn8O16 from the Materials Project. Energies are from PBE+U.

Results
ΔE to the lowest computed polymorph: 0.00 eV/f.u.
E: -352.75 eV per cell

Geometry as CIF:
```
data_NaMn8O16
_chemical_formula_sum 'Na2 Mn16 O32'
_symmetry_space_group_name_H-M 'P 1 2 1'
_symmetry_Int_Tables_number 3
_symmetry_space_group_name_Hall 'P 2y'
_cell_length_a 9.913
_cell_length_b 5.908
_cell_length_c 9.995
_cell_angle_alpha 90.00
_cell_angle_beta 90.50
_cell_angle_gamma 90.00
loop_
_atom_site_label
_atom_site_fract_x
_atom_site_fract_y
_atom_site_fract_z
Na1 0.000 0.000 0.000
Na2 0.500 0.251 0.500
Mn1 0.151 0.250 0.334
Mn2 0.152 0.749 0.335
Mn3 0.168 0.500 0.650
Mn4 0.168 0.999 0.649
Mn5 0.332 0.751 0.850
Mn6 0.333 0.252 0.851
Mn7 0.348 0.502 0.166
Mn8 0.349 0.000 0.166
O1 0.042 0.749 0.661
O2 0.043 0.249 0.662
O3 0.153 0.001 0.203
O4 0.153 0.500 0.206
O5 0.172 0.000 0.457
O6 0.172 0.498 0.458
O7 0.200 0.000 0.844
O8 0.202 0.500 0.843
O9 0.298 0.750 0.657
O10 0.301 0.251 0.656
O11 0.329 0.251 0.043
O12 0.329 0.752 0.042
O13 0.348 0.250 0.297
O14 0.348 0.751 0.293
O15 0.457 0.001 0.838
O16 0.457 0.502 0.839
```

Record 4
Here is a relaxed structure of NaMn2O4 from the Materials Project. Energies are from PBE+U.

Results
ΔE to the lowest computed polymorph: 0.77 eV/f.u.
E: -371.60 eV per cell

Geometry as CIF:
```
data_NaMn2O4
_chemical_formula_sum 'Na8 Mn16 O32'
_symmetry_space_group_name_H-M 'P 42/n'
_symmetry_Int_Tables_number 86
_cell_length_a 10.377
_cell_length_b 10.377
_cell_length_c 5.909
_cell_angle_alpha 90.00
_cell_angle_beta 90.00
_cell_angle_gamma 90.00
loop_
_symmetry_equiv_pos_as_xyz
'x,y,z'
'-x,-y,-z'
'-y,x+1/2,z+1/2'
'y,-x+1/2,-z+1/2'
'-x+1/2,-y+1/2,z'
'x+1/2,y+1/2,-z'
'y+1/2,-x,z+1/2'
'-y+1/2,x,-z+1/2'
loop_
_atom_site_label
_atom_site_fract_x
_atom_site_fract_y
_atom_site_fract_z
Na1 0.120 0.777 0.119
Mn1 0.083 0.395 0.374
Mn2 0.087 0.401 0.877
O1 0.046 0.598 0.373
O2 0.049 0.600 0.876
O3 0.083 0.204 0.373
O4 0.091 0.206 0.877
```

Number 1: V 11.4 Å³ per atom. Number 2: V 11.8 Å³ per atom. Number 3: V 11.7 Å³ per atom. Number 4: V 11.4 Å³ per atom.